Material: InSn3
Method: DFT, GGA-PBE
State: relaxed

a b c (Å): 4.8161 4.8161 4.8161
angles (deg): 90.00 90.00 90.00
Positions (direct):
In 0.0000 0.0000 0.0000
Sn 0.0000 0.5000 0.5000
Sn 0.5000 0.0000 0.5000
Sn 0.5000 0.5000 0.0000

Results
calculated formation energy	0.046	eV per atom
electronic total energy	-3.65	eV/atom
space-group type	Pm-3m (221)